The following is a r2SCAN calculation of an optimized crystal structure of EuMg2Bi2, from the Materials Project.

- Energy relative to the elements: -0.71 eV per atom
- Volume: 31.54 Å³/atom
- Space group: P-3m1, No. 164
- Total magnetization: 1.400 μB per atom

Unit cell a=4.813 b=4.813 c=7.859 alpha=90.00 beta=90.00 gamma=120.00
Sites, in units of the cell vectors:
Eu  0.000  0.000  0.000
Mg  0.667  0.333  0.630
Mg  0.333  0.667  0.370
Bi  0.667  0.333  0.249
Bi  0.333  0.667  0.751

***

The following is a r2SCAN calculation of an optimized crystal structure of Eu2BiS4, from the Materials Project.

- Energy relative to the elements: -1.61 eV per atom
- Volume: 24.53 Å³/atom
- Space group: Pnma, No. 62
- Total magnetization: 1.857 μB per atom

Unit cell a=4.052 b=11.627 c=14.581 alpha=90.00 beta=90.00 gamma=90.00
Sites, in units of the cell vectors:
Eu  0.250  0.770  0.154
Eu  0.250  0.270  0.346
Eu  0.750  0.230  0.846
Eu  0.750  0.730  0.654
Eu  0.250  0.610  0.402
Eu  0.250  0.110  0.098
Eu  0.750  0.390  0.598
Eu  0.750  0.890  0.902
Bi  0.250  0.563  0.893
Bi  0.250  0.063  0.607
Bi  0.750  0.437  0.107
Bi  0.750  0.937  0.393
S  0.250  0.517  0.210
S  0.250  0.017  0.290
S  0.750  0.483  0.790
S  0.750  0.983  0.710
S  0.250  0.760  0.801
S  0.250  0.260  0.699
S  0.750  0.240  0.199
S  0.750  0.740  0.301
S  0.250  0.561  0.594
S  0.250  0.061  0.906
S  0.750  0.439  0.406
S  0.750  0.939  0.094
S  0.250  0.829  0.518
S  0.250  0.329  0.982
S  0.750  0.171  0.482
S  0.750  0.671  0.018

***

The following is a r2SCAN calculation of an optimized crystal structure of BiF5, from the Materials Project.

- Energy relative to the elements: -1.86 eV per atom
- Volume: 16.22 Å³/atom
- Excess energy over the best structure of this formula in the dataset: 1.4 kJ per mole of atoms
- Space group: P2_1/c, No. 14
- Total magnetization: 0.000 μB per atom

Unit cell a=10.087 b=5.097 c=8.243 alpha=66.71 beta=90.00 gamma=90.00
Sites, in units of the cell vectors:
Bi  0.754  0.118  0.605
Bi  0.254  0.882  0.895
Bi  0.246  0.882  0.395
Bi  0.746  0.118  0.105
F  0.855  0.478  0.553
F  0.355  0.522  0.947
F  0.145  0.522  0.447
F  0.645  0.478  0.053
F  0.597  0.338  0.480
F  0.097  0.662  0.020
F  0.403  0.662  0.520
F  0.903  0.338  0.980
F  0.417  0.097  0.786
F  0.917  0.903  0.714
F  0.583  0.903  0.214
F  0.083  0.097  0.286
F  0.154  0.245  0.835
F  0.654  0.755  0.665
F  0.846  0.755  0.165
F  0.346  0.245  0.335
F  0.690  0.113  0.854
F  0.190  0.887  0.646
F  0.310  0.887  0.146
F  0.810  0.113  0.354

***

The following is a r2SCAN calculation of an optimized crystal structure of BiF5, from the Materials Project.

- Energy relative to the elements: -1.86 eV per atom
- Volume: 16.21 Å³/atom
- Excess energy over the best structure of this formula in the dataset: 1.4 kJ per mole of atoms
- Space group: P2_1/c, No. 14
- Total magnetization: 0.000 μB per atom

Unit cell a=10.105 b=5.085 c=8.251 alpha=66.60 beta=90.00 gamma=90.00
Sites, in units of the cell vectors:
Bi  0.754  0.119  0.605
Bi  0.254  0.881  0.895
Bi  0.246  0.881  0.395
Bi  0.746  0.119  0.105
F  0.854  0.481  0.552
F  0.354  0.519  0.948
F  0.146  0.519  0.448
F  0.646  0.481  0.052
F  0.597  0.336  0.481
F  0.097  0.664  0.019
F  0.403  0.664  0.519
F  0.903  0.336  0.981
F  0.418  0.095  0.787
F  0.918  0.905  0.713
F  0.582  0.905  0.213
F  0.082  0.095  0.287
F  0.156  0.247  0.832
F  0.656  0.753  0.668
F  0.844  0.753  0.168
F  0.344  0.247  0.332
F  0.691  0.114  0.854
F  0.191  0.886  0.646
F  0.309  0.886  0.146
F  0.809  0.114  0.354

***

The following is a r2SCAN calculation of an optimized crystal structure of BiF5, from the Materials Project.

- Energy relative to the elements: -1.87 eV per atom
- Volume: 14.58 Å³/atom
- Excess energy over the best structure of this formula in the dataset: 0.0 kJ per mole of atoms
- Space group: I4/m, No. 87
- Total magnetization: 0.000 μB per atom

Unit cell a=4.281 b=5.002 c=5.002 alpha=79.45 beta=64.67 gamma=64.67
Sites, in units of the cell vectors:
Bi  0.000  0.000  0.000
F  0.706  0.194  0.395
F  0.500  0.000  0.000
F  0.294  0.806  0.605
F  0.899  0.395  0.806
F  0.101  0.605  0.194

***

The following is a r2SCAN calculation of an optimized crystal structure of K2BiF5, from the Materials Project.

- Energy relative to the elements: -2.84 eV per atom
- Volume: 17.25 Å³/atom
- Space group: Pnma, No. 62
- Total magnetization: 0.000 μB per atom

Unit cell a=6.591 b=7.470 c=11.211 alpha=90.00 beta=90.00 gamma=90.00
Sites, in units of the cell vectors:
K  0.995  0.001  0.331
K  0.995  0.499  0.331
K  0.495  0.501  0.169
K  0.505  0.499  0.831
K  0.005  0.501  0.669
K  0.505  0.001  0.831
K  0.495  0.999  0.169
K  0.005  0.999  0.669
Bi  0.065  0.250  0.957
Bi  0.435  0.250  0.457
Bi  0.565  0.750  0.543
Bi  0.935  0.750  0.043
F  0.776  0.750  0.219
F  0.887  0.455  0.095
F  0.691  0.250  0.329
F  0.613  0.455  0.595
F  0.387  0.545  0.405
F  0.724  0.750  0.719
F  0.901  0.750  0.493
F  0.599  0.750  0.993
F  0.276  0.250  0.281
F  0.887  0.045  0.095
F  0.309  0.750  0.671
F  0.809  0.250  0.829
F  0.224  0.250  0.781
F  0.387  0.955  0.405
F  0.401  0.250  0.007
F  0.099  0.250  0.507
F  0.613  0.045  0.595
F  0.113  0.955  0.905
F  0.191  0.750  0.171
F  0.113  0.545  0.905

***

The following is a r2SCAN calculation of an optimized crystal structure of KBi3F10, from the Materials Project.

- Energy relative to the elements: -2.70 eV per atom
- Volume: 15.19 Å³/atom
- Space group: Fm-3m, No. 225
- Total magnetization: 0.000 μB per atom

Unit cell a=8.441 b=8.441 c=8.441 alpha=60.00 beta=60.00 gamma=60.00
Sites, in units of the cell vectors:
K  0.250  0.250  0.250
K  0.750  0.750  0.750
Bi  0.760  0.240  0.240
Bi  0.240  0.760  0.760
Bi  0.240  0.760  0.240
Bi  0.760  0.240  0.760
Bi  0.240  0.240  0.760
Bi  0.760  0.760  0.240
F  0.830  0.500  0.500
F  0.170  0.500  0.500
F  0.500  0.830  0.170
F  0.500  0.170  0.830
F  0.500  0.830  0.500
F  0.170  0.500  0.830
F  0.500  0.170  0.500
F  0.830  0.500  0.170
F  0.500  0.500  0.830
F  0.500  0.500  0.170
F  0.170  0.830  0.500
F  0.830  0.170  0.500
F  0.115  0.115  0.115
F  0.885  0.885  0.885
F  0.115  0.115  0.654
F  0.115  0.654  0.115
F  0.885  0.885  0.346
F  0.885  0.346  0.885
F  0.654  0.115  0.115
F  0.346  0.885  0.885

***

The following is a r2SCAN calculation of an optimized crystal structure of LiBiF4, from the Materials Project.

- Energy relative to the elements: -2.82 eV per atom
- Volume: 12.81 Å³/atom
- Space group: P-1, No. 2
- Total magnetization: 0.000 μB per atom

Unit cell a=5.249 b=5.248 c=6.703 alpha=113.02 beta=113.08 gamma=90.01
Sites, in units of the cell vectors:
Li  0.374  0.125  0.750
Li  0.626  0.875  0.250
Bi  0.875  0.625  0.750
Bi  0.125  0.375  0.250
F  0.271  0.953  0.090
F  0.138  0.771  0.590
F  0.453  0.319  0.590
F  0.819  0.638  0.090
F  0.729  0.047  0.910
F  0.862  0.229  0.410
F  0.547  0.681  0.410
F  0.181  0.362  0.910

***

The following is a r2SCAN calculation of an optimized crystal structure of MgBiF6, from the Materials Project.

- Energy relative to the elements: -2.75 eV per atom
- Volume: 14.17 Å³/atom
- Space group: R-3, No. 148
- Total magnetization: 0.125 μB per atom

Unit cell a=5.662 b=5.662 c=5.662 alpha=54.98 beta=54.98 gamma=54.98
Sites, in units of the cell vectors:
Mg  0.500  0.500  0.500
Bi  0.000  0.000  0.000
F  0.597  0.881  0.263
F  0.881  0.263  0.597
F  0.737  0.403  0.119
F  0.119  0.737  0.403
F  0.403  0.119  0.737
F  0.263  0.597  0.881

***

The following is a r2SCAN calculation of an optimized crystal structure of Bi7O5F11, from the Materials Project.

- Energy relative to the elements: -2.21 eV per atom
- Volume: 14.68 Å³/atom
- Space group: C2, No. 5
- Total magnetization: 0.000 μB per atom

Unit cell a=7.267 b=7.267 c=9.149 alpha=84.80 beta=84.80 gamma=44.59
Sites, in units of the cell vectors:
Bi  0.570  0.570  0.789
Bi  0.430  0.430  0.211
Bi  0.319  0.294  0.640
Bi  0.706  0.681  0.360
Bi  0.103  0.897  0.500
Bi  0.954  0.793  0.921
Bi  0.207  0.046  0.079
O  0.296  0.704  0.000
O  0.224  0.658  0.725
O  0.342  0.776  0.275
O  0.484  0.733  0.552
O  0.267  0.516  0.448
F  0.803  0.197  0.000
F  0.716  0.165  0.719
F  0.835  0.284  0.281
F  0.686  0.961  0.481
F  0.039  0.314  0.519
F  0.642  0.738  0.036
F  0.262  0.358  0.964
F  0.275  0.011  0.810
F  0.989  0.725  0.190
F  0.891  0.616  0.743
F  0.384  0.109  0.257

***

The following is a r2SCAN calculation of an optimized crystal structure of Bi2OF4, from the Materials Project.

- Energy relative to the elements: -2.33 eV per atom
- Volume: 14.41 Å³/atom
- Space group: C2/c, No. 15
- Total magnetization: 0.000 μB per atom

Unit cell a=7.066 b=7.066 c=5.626 alpha=76.92 beta=76.92 gamma=47.86
Sites, in units of the cell vectors:
Bi  0.112  0.677  0.589
Bi  0.677  0.112  0.089
Bi  0.323  0.888  0.911
Bi  0.888  0.323  0.411
O  0.968  0.032  0.750
O  0.032  0.968  0.250
F  0.294  0.553  0.961
F  0.553  0.294  0.461
F  0.734  0.836  0.843
F  0.836  0.734  0.343
F  0.164  0.266  0.657
F  0.266  0.164  0.157
F  0.447  0.706  0.539
F  0.706  0.447  0.039

***

The following is a r2SCAN calculation of an optimized crystal structure of Bi3O2F5, from the Materials Project.

- Energy relative to the elements: -2.24 eV per atom
- Volume: 14.49 Å³/atom
- Space group: Pnma, No. 62
- Total magnetization: 0.000 μB per atom

Unit cell a=5.570 b=5.930 c=17.545 alpha=90.00 beta=90.00 gamma=90.00
Sites, in units of the cell vectors:
Bi  0.200  0.535  0.598
Bi  0.200  0.535  0.902
Bi  0.259  0.962  0.750
Bi  0.241  0.462  0.250
Bi  0.300  0.035  0.098
Bi  0.300  0.035  0.402
Bi  0.700  0.965  0.902
Bi  0.700  0.965  0.598
Bi  0.759  0.538  0.750
Bi  0.741  0.038  0.250
Bi  0.800  0.465  0.402
Bi  0.800  0.465  0.098
O  0.016  0.232  0.170
O  0.016  0.232  0.330
O  0.484  0.732  0.830
O  0.484  0.732  0.670
O  0.516  0.268  0.170
O  0.516  0.268  0.330
O  0.984  0.768  0.670
O  0.984  0.768  0.830
F  0.176  0.409  0.750
F  0.074  0.282  0.018
F  0.074  0.282  0.482
F  0.155  0.654  0.127
F  0.155  0.654  0.373
F  0.345  0.154  0.873
F  0.345  0.154  0.627
F  0.426  0.782  0.518
F  0.426  0.782  0.982
F  0.324  0.909  0.250
F  0.676  0.091  0.750
F  0.574  0.218  0.018
F  0.574  0.218  0.482
F  0.655  0.846  0.373
F  0.655  0.846  0.127
F  0.845  0.346  0.627
F  0.845  0.346  0.873
F  0.926  0.718  0.982
F  0.926  0.718  0.518
F  0.824  0.591  0.250

***

Repeat the ninth record exactly.
The following is a r2SCAN calculation of an optimized crystal structure of MgBiF6, from the Materials Project.

- Energy relative to the elements: -2.75 eV per atom
- Volume: 14.17 Å³/atom
- Space group: R-3, No. 148
- Total magnetization: 0.125 μB per atom

Unit cell a=5.662 b=5.662 c=5.662 alpha=54.98 beta=54.98 gamma=54.98
Sites, in units of the cell vectors:
Mg  0.500  0.500  0.500
Bi  0.000  0.000  0.000
F  0.597  0.881  0.263
F  0.881  0.263  0.597
F  0.737  0.403  0.119
F  0.119  0.737  0.403
F  0.403  0.119  0.737
F  0.263  0.597  0.881